1.
VASP calculation (PBE) on Sr7SiB3NO13 after structural relaxation.

Cell: 10.787 10.787 7.044 Å, 90.00 90.00 120.00°
Sites, in units of the cell vectors:
Sr 0.042 0.518 0.000
Sr 0.125 0.865 0.332
Sr 0.135 0.261 0.332
Sr 0.261 0.125 0.832
Sr 0.333 0.667 0.637
Sr 0.476 0.958 0.000
Sr 0.482 0.524 0.000
Sr 0.518 0.476 0.500
Sr 0.524 0.042 0.500
Sr 0.667 0.333 0.137
Sr 0.739 0.875 0.332
Sr 0.865 0.739 0.832
Sr 0.875 0.135 0.832
Sr 0.958 0.482 0.500
Si 0.333 0.667 0.226
Si 0.667 0.333 0.726
B 0.174 0.812 0.792
B 0.188 0.362 0.792
B 0.362 0.174 0.292
B 0.638 0.826 0.792
B 0.812 0.638 0.292
B 0.826 0.188 0.292
N 0.000 0.000 0.128
N 0.000 0.000 0.628
O 0.069 0.679 0.727
O 0.110 0.409 0.686
O 0.134 0.287 0.959
O 0.153 0.866 0.959
O 0.183 0.651 0.309
O 0.287 0.153 0.459
O 0.299 0.890 0.686
O 0.321 0.391 0.727
O 0.333 0.667 0.991
O 0.349 0.532 0.309
O 0.391 0.069 0.227
O 0.409 0.299 0.186
O 0.468 0.817 0.309
O 0.532 0.183 0.809
O 0.591 0.701 0.686
O 0.609 0.931 0.727
O 0.651 0.468 0.809
O 0.667 0.333 0.491
O 0.679 0.609 0.227
O 0.701 0.110 0.186
O 0.713 0.847 0.959
O 0.817 0.349 0.809
O 0.847 0.134 0.459
O 0.866 0.713 0.459
O 0.890 0.591 0.186
O 0.931 0.321 0.227

Values from the calculation:
**Space-group type**: No. 173
**Energy of formation**: -2979 meV/atom
**E**: -350.969 eV per cell
**Volume**: 14.196 Å³ per atom

=====

2.
VASP calculation (PBE) on Sr7SiB3NO13 after structural relaxation.

Cell: 7.045 10.803 10.844 Å, 60.20 89.50 89.72°
Sites, in units of the cell vectors:
Sr 0.000 0.000 0.000
Sr 0.000 0.448 0.977
Sr 0.002 0.429 0.548
Sr 0.185 0.834 0.374
Sr 0.187 0.220 0.376
Sr 0.192 0.826 0.769
Sr 0.364 0.293 0.840
Sr 0.500 0.469 0.041
Sr 0.501 0.491 0.465
Sr 0.501 0.915 0.015
Sr 0.663 0.090 0.236
Sr 0.676 0.688 0.647
Sr 0.687 0.096 0.641
Sr 0.862 0.626 0.174
Si 0.275 0.625 0.176
Si 0.775 0.293 0.840
B 0.205 0.143 0.139
B 0.208 0.594 0.689
B 0.210 0.141 0.692
B 0.709 0.780 0.326
B 0.711 0.321 0.329
B 0.714 0.776 0.871
N 0.318 0.959 0.501
N 0.916 0.959 0.504
O 0.009 0.294 0.840
O 0.031 0.082 0.199
O 0.038 0.660 0.687
O 0.046 0.132 0.627
O 0.194 0.774 0.163
O 0.195 0.489 0.325
O 0.195 0.611 0.041
O 0.258 0.276 0.118
O 0.260 0.033 0.827
O 0.260 0.570 0.579
O 0.328 0.260 0.622
O 0.329 0.550 0.805
O 0.331 0.070 0.097
O 0.509 0.625 0.175
O 0.554 0.236 0.350
O 0.555 0.802 0.392
O 0.558 0.843 0.787
O 0.689 0.309 0.974
O 0.692 0.426 0.691
O 0.694 0.143 0.856
O 0.754 0.879 0.186
O 0.759 0.637 0.907
O 0.763 0.355 0.432
O 0.818 0.374 0.204
O 0.818 0.657 0.398
O 0.825 0.848 0.921

Values from the calculation:
**Space-group type**: No. 1
**Energy of formation**: -2988 meV/atom
**E**: -351.413 eV per cell
**Volume**: 14.322 Å³ per atom

=====

3.
VASP calculation (PBE) on Pr3B2N4 after structural relaxation.

Cell: 6.572 6.572 6.572 Å, 148.24 122.17 67.50°
Sites, in units of the cell vectors:
Pr 0.000 0.000 0.000
Pr 0.298 0.798 0.500
Pr 0.702 0.202 0.500
B 0.357 0.500 0.857
B 0.643 0.500 0.143
N 0.127 0.382 0.745
N 0.363 0.618 0.745
N 0.637 0.382 0.255
N 0.873 0.618 0.255

Values from the calculation:
**Space-group type**: No. 71
**Energy of formation**: -1424 meV/atom
**E**: -72.417 eV per cell
**Volume**: 13.877 Å³ per atom

=====

4.
VASP calculation (PBE) on ScBN2 after structural relaxation.

Cell: 3.355 3.355 9.824 Å, 90.00 90.00 120.00°
Sites, in units of the cell vectors:
Sc 0.000 0.000 0.000
Sc 0.000 0.000 0.500
B 0.333 0.667 0.250
B 0.667 0.333 0.750
N 0.333 0.667 0.114
N 0.333 0.667 0.386
N 0.667 0.333 0.614
N 0.667 0.333 0.886

Values from the calculation:
**Space-group type**: No. 194
**Energy of formation**: -1524 meV/atom
**E**: -70.115 eV per cell
**Volume**: 11.970 Å³ per atom

=====

5.
VASP calculation (PBE) on SmBN2 after structural relaxation.

Cell: 7.322 7.322 7.322 Å, 110.68 110.68 110.68°
Sites, in units of the cell vectors:
Sm 0.204 0.750 0.296
Sm 0.250 0.704 0.796
Sm 0.296 0.204 0.750
Sm 0.704 0.796 0.250
Sm 0.750 0.296 0.204
Sm 0.796 0.250 0.704
B 0.130 0.250 0.370
B 0.250 0.370 0.130
B 0.370 0.130 0.250
B 0.630 0.870 0.750
B 0.750 0.630 0.870
B 0.870 0.750 0.630
N 0.007 0.250 0.493
N 0.126 0.374 0.250
N 0.250 0.126 0.374
N 0.250 0.493 0.007
N 0.374 0.250 0.126
N 0.493 0.007 0.250
N 0.507 0.993 0.750
N 0.626 0.750 0.874
N 0.750 0.507 0.993
N 0.750 0.874 0.626
N 0.874 0.626 0.750
N 0.993 0.750 0.507

Values from the calculation:
**Space-group type**: No. 167
**Energy of formation**: -1565 meV/atom
**E**: -201.648 eV per cell
**Volume**: 11.994 Å³ per atom

=====

6.
VASP calculation (PBE) on Sr3B2N4 after structural relaxation.

Cell: 7.690 7.690 7.690 Å, 90.00 90.00 90.00°
Sites, in units of the cell vectors:
Sr 0.000 0.000 0.000
Sr 0.263 0.263 0.263
Sr 0.263 0.263 0.737
Sr 0.263 0.737 0.263
Sr 0.263 0.737 0.737
Sr 0.737 0.263 0.263
Sr 0.737 0.263 0.737
Sr 0.737 0.737 0.263
Sr 0.737 0.737 0.737
B 0.000 0.000 0.500
B 0.000 0.500 0.000
B 0.000 0.500 0.500
B 0.500 0.000 0.000
B 0.500 0.000 0.500
B 0.500 0.500 0.000
N 0.000 0.000 0.325
N 0.000 0.000 0.675
N 0.000 0.325 0.000
N 0.000 0.675 0.000
N 0.175 0.500 0.500
N 0.325 0.000 0.000
N 0.500 0.175 0.500
N 0.500 0.500 0.175
N 0.500 0.500 0.825
N 0.500 0.825 0.500
N 0.675 0.000 0.000
N 0.825 0.500 0.500

Values from the calculation:
**Space-group type**: No. 221
**Energy of formation**: -1257 meV/atom
**E**: -184.917 eV per cell
**Volume**: 16.843 Å³ per atom